Material: V2SiO4
Method: DFT, PBE+U
State: optimized geometry

Results
For the energy relative to the elements, the calculation gives -2551 meV/atom. Its volume is 10.41 Å³/atom. The value obtained for the magnetic moment is 24.00 Bohr magnetons per cell. Its total energy is -7.87 eV per atom. Its distance to the lowest polymorph of the same formula is 0.088 eV/atom. As for the theoretical density: 4.4 g cm⁻³.

CIF file:
```
data_V2SiO4
_chemical_formula_sum 'V8 Si4 O16'
_space_group_name_H-M_alt 'C 1 2/m 1'
_space_group_IT_number 12
_space_group_name_Hall '-C 2y'
_cell_length_a 10.182
_cell_length_b 5.966
_cell_length_c 5.861
_cell_angle_alpha 90.00
_cell_angle_beta 125.06
_cell_angle_gamma 90.00
loop_
_atom_site_label
_atom_site_type_symbol
_atom_site_fract_x
_atom_site_fract_y
_atom_site_fract_z
_atom_site_occupancy
V1 V 0.000 0.000 0.000 1
V2 V 0.000 0.000 0.500 1
V3 V 0.250 0.250 0.000 1
Si1 Si 0.125 0.500 0.375 1
O1 O 0.011 0.271 0.260 1
O2 O 0.240 0.500 0.259 1
O3 O 0.240 0.500 0.721 1
```